No. 1
Below is DyPbAu after structural relaxation, with properties calculated at the GGA-PBE level.

Lattice parameters (Å, degrees): 6.8486 6.8486 6.8486 90.00 90.00 90.00
Last column: nearest neighbours and their distance in Å.
Space group F-43m (No. 216)
Symmetry-distinct sites (fractional):
Dy: 0.0000 0.0000 0.0000 [4 per cell]  4 Au 2.97
Pb: 0.0000 0.0000 0.5000 [4 per cell]  4 Au 2.97
Au: 0.2500 0.2500 0.7500 [4 per cell]  4 Pb 2.97, 4 Dy 2.97

=====

No. 2
Below is Dy5SbAu2 after structural relaxation, with properties calculated at the GGA-PBE level.

Summary:
relative energy among the computed polymorphs: 0.000 eV/atom

Lattice parameters (Å, degrees): 8.1168 8.1168 12.9941 90.00 90.00 90.00
Last column: nearest neighbours and their distance in Å.
Space group I4/mcm (No. 140)
Symmetry-distinct sites (fractional):
Dy: 0.0000 0.0000 0.0000 [4 per cell]  4 Au 3.15, 2 Sb 3.25
Dy: 0.1570 0.3430 0.1422 [16 per cell]  3 Au 3.01-3.02, 2 Sb 3.37
Sb: 0.0000 0.0000 0.2500 [4 per cell]  10 Dy 3.25-3.37
Au: 0.1362 0.3638 0.5000 [8 per cell]  8 Dy 3.01-3.15, 1 Au 3.13

=====

No. 3
Below is Dy5SbAu2 after structural relaxation, with properties calculated at the GGA-PBE level.

Summary:
relative energy among the computed polymorphs: 0.347 eV/atom

Lattice parameters (Å, degrees): 7.3887 7.3887 17.3437 90.00 90.00 90.00
Last column: nearest neighbours and their distance in Å.
Space group I4/mcm (No. 140)
Symmetry-distinct sites (fractional):
Dy: 0.0000 0.0000 0.0000 [4 per cell]  4 Au 2.91
Dy: 0.1651 0.3349 0.1660 [16 per cell]  1 Au 2.91, 2 Sb 3.12
Sb: 0.0000 0.0000 0.2500 [4 per cell]  8 Dy 3.12
Au: 0.1277 0.3723 0.0000 [8 per cell]  1 Au 2.67, 4 Dy 2.91

=====

No. 4
Below is Dy3Sb4Au3 after structural relaxation, with properties calculated at the GGA-PBE level.

Summary:
piezoelectric modulus e_max: 0.8 C/m2

Lattice parameters (Å, degrees): 9.9321 9.9321 9.9321 90.00 90.00 90.00
Last column: nearest neighbours and their distance in Å.
Space group I-43d (No. 220)
Symmetry-distinct sites (fractional):
Dy: 0.0000 0.2500 0.8750 [12 per cell]  4 Au 3.04, 4 Sb 3.37
Sb: 0.0897 0.4103 0.5897 [16 per cell]  3 Au 2.81
Au: 0.0000 0.2500 0.3750 [12 per cell]  4 Sb 2.81, 4 Dy 3.04

=====

No. 5
Below is Dy2SnAu2 after structural relaxation, with properties calculated at the GGA-PBE level.

Lattice parameters (Å, degrees): 8.3799 8.3799 3.5680 90.00 90.00 90.00
Last column: nearest neighbours and their distance in Å.
Space group P4/mbm (No. 127)
Symmetry-distinct sites (fractional):
Dy: 0.1639 0.3361 0.0000 [4 per cell]  6 Au 3.04, 2 Sn 3.13
Sn: 0.0000 0.0000 0.0000 [2 per cell]  4 Dy 3.13
Au: 0.1281 0.6281 0.5000 [4 per cell]  1 Au 3.04, 6 Dy 3.04

=====

No. 6
Below is Dy2SnAu2 after structural relaxation, with properties calculated at the GGA-PBE level.

Lattice parameters (Å, degrees): 7.9222 7.9222 7.5665 90.00 90.00 90.00
Last column: nearest neighbours and their distance in Å.
Space group P4_2/mnm (No. 136)
Symmetry-distinct sites (fractional):
Dy: 0.1573 0.1573 0.0000 [4 per cell]  6 Au 2.94-3.10
Dy: 0.1841 0.1841 0.5000 [4 per cell]  6 Au 2.98-3.02
Sn: 0.0000 0.5000 0.2500 [4 per cell]  4 Au 3.12, 4 Dy 3.46
Au: 0.1278 0.8722 0.2780 [8 per cell]  1 Au 2.86, 6 Dy 2.94-3.10, 2 Sn 3.12

=====

No. 7
Below is ErAu4 after structural relaxation, with properties calculated at the GGA-PBE level.

Lattice parameters (Å, degrees): 6.7721 6.7721 4.2169 90.00 90.00 90.00
Last column: nearest neighbours and their distance in Å.
Space group I4/m (No. 87)
Symmetry-distinct sites (fractional):
Er: 0.0000 0.0000 0.0000 [2 per cell]  12 Au 3.01-3.03
Au: 0.0997 0.3001 0.5000 [8 per cell]  9 Au 3.00-3.03, 3 Er 3.01-3.03

=====

No. 8
Below is ErAu2 after structural relaxation, with properties calculated at the GGA-PBE level.

Lattice parameters (Å, degrees): 3.7252 3.7252 9.0336 90.00 90.00 90.00
Last column: nearest neighbours and their distance in Å.
Space group I4/mmm (No. 139)
Symmetry-distinct sites (fractional):
Er: 0.0000 0.0000 0.0000 [2 per cell]  10 Au 3.02-3.03
Au: 0.0000 0.0000 0.3357 [4 per cell]  5 Au 2.97-3.06, 5 Er 3.02-3.03

=====

No. 9
Below is Er2Au5F21 after structural relaxation, with properties calculated at the GGA-PBE level.

Lattice parameters (Å, degrees): 8.0587 9.1102 12.0577 89.17 88.85 88.79
Last column: nearest neighbours and their distance in Å.
Space group P-1 (No. 2)
Symmetry-distinct sites (fractional):
Er: 0.1646 0.1820 0.0006 [2 per cell]  8 F 2.15-2.40
Er: 0.1715 0.3170 0.4960 [2 per cell]  8 F 2.14-2.40
Au: 0.0588 0.5085 0.7905 [2 per cell]  4 F 1.96-1.97
Au: 0.0591 0.9853 0.7042 [2 per cell]  4 F 1.96-1.97
Au: 0.3262 0.7228 0.4046 [2 per cell]  4 F 1.94-2.00
Au: 0.3367 0.7758 0.0935 [2 per cell]  4 F 1.94-1.99
Au: 0.4808 0.7503 0.7550 [2 per cell]  4 F 1.94-1.99
F: 0.0000 0.0000 0.0000 [1 per cell]  2 Er 2.15
F: 0.0000 0.5000 0.5000 [1 per cell]  2 Er 2.14
F: 0.0234 0.1323 0.4185 [2 per cell]  1 Au 1.97
F: 0.0559 0.3879 0.0871 [2 per cell]  1 Au 1.97
F: 0.0832 0.7353 0.3851 [2 per cell]  1 Au 1.98
F: 0.0836 0.1199 0.1879 [2 per cell]  1 Au 1.97
F: 0.0881 0.3852 0.3121 [2 per cell]  1 Au 1.96
F: 0.0949 0.7426 0.0883 [2 per cell]  1 Au 1.98
F: 0.1600 0.1044 0.8184 [2 per cell]  1 Au 1.96
F: 0.1883 0.4070 0.6732 [2 per cell]  1 Au 1.97
F: 0.2003 0.0923 0.5965 [2 per cell]  1 Au 1.97
F: 0.2004 0.3997 0.8965 [2 per cell]  1 Au 1.97
F: 0.3007 0.7294 0.8632 [2 per cell]  1 Au 1.94
F: 0.3150 0.7556 0.6405 [2 per cell]  1 Au 1.94
F: 0.3228 0.9768 0.0260 [2 per cell]  1 Au 1.99
F: 0.3281 0.5128 0.4554 [2 per cell]  1 Au 2.00
F: 0.3317 0.9213 0.3455 [2 per cell]  1 Au 1.94
F: 0.3432 0.2253 0.3611 [2 per cell]  1 Au 1.99
F: 0.3579 0.5856 0.1667 [2 per cell]  1 Au 1.94
F: 0.3594 0.2555 0.1210 [2 per cell]  1 Au 1.99
F: 0.4227 0.1972 0.8983 [2 per cell]  1 Au 1.96
F: 0.4315 0.2784 0.5760 [2 per cell]  1 Au 1.97

=====

No. 10
Below is ErGaAu after structural relaxation, with properties calculated at the GGA-PBE level.

Lattice parameters (Å, degrees): 10.4390 4.5125 7.0711 90.00 131.68 90.00
Last column: nearest neighbours and their distance in Å.
Space group C2/m (No. 12)
Symmetry-distinct sites (fractional):
Er: 0.0372 0.0000 0.2957 [4 per cell]  6 Au 3.05-3.22, 6 Ga 3.11-3.27
Ga: 0.1586 0.5000 0.1089 [4 per cell]  1 Ga 2.56, 2 Au 2.60
Au: 0.1772 0.5000 0.7180 [4 per cell]  3 Ga 2.60-2.90, 1 Au 2.83

=====

No. 11
Below is ErInAu2 after structural relaxation, with properties calculated at the GGA-PBE level.

Lattice parameters (Å, degrees): 6.9741 6.9741 6.9741 90.00 90.00 90.00
Last column: nearest neighbours and their distance in Å.
Space group Fm-3m (No. 225)
Symmetry-distinct sites (fractional):
Er: 0.0000 0.0000 0.0000 [4 per cell]  8 Au 3.02
In: 0.0000 0.0000 0.5000 [4 per cell]  8 Au 3.02
Au: 0.2500 0.2500 0.2500 [8 per cell]  4 In 3.02, 4 Er 3.02

=====

No. 12
Below is ErInAu after structural relaxation, with properties calculated at the GGA-PBE level.

Lattice parameters (Å, degrees): 7.7027 7.7027 4.0143 90.00 90.00 120.00
Last column: nearest neighbours and their distance in Å.
Space group P-62m (No. 189)
Symmetry-distinct sites (fractional):
Er: 0.0000 0.5944 0.0000 [3 per cell]  5 Au 3.08-3.12, 6 In 3.26-3.40
In: 0.0000 0.2604 0.5000 [3 per cell]  4 Au 2.84-2.89
Au: 0.0000 0.0000 0.0000 [1 per cell]  6 In 2.84, 3 Er 3.12
Au: 0.3333 0.6667 0.5000 [2 per cell]  3 In 2.89, 6 Er 3.08

=====

The calculation returns the following ΔH_f (0 K) values, one per record and in order: -2.0; -6.1; -3.3; -8.1; -3.1; -4.2; -3.0; -2.6; -62.4; -2.4; -2.8; -2.2 eV per formula unit.
The calculation returns the following calculated density values, one per record and in order: 11.717; 10.305; 9.317; 10.613; 11.103; 11.716; 16.402; 14.867; 6.450; 11.585; 13.237; 11.570 g/cm3.